No. 1
Below is a geometry-optimized K2VCuS2 structure, with properties calculated at the PBE level. Values from VASP.

Structure (Quantum ESPRESSO input):
```
&SYSTEM
  ibrav = 0, nat = 24, ntyp = 4
/
ATOMIC_SPECIES
K 39.10 K.upf
V 50.94 V.upf
Cu 63.55 Cu.upf
S 32.06 S.upf
CELL_PARAMETERS angstrom
0.000 6.924 20.708
2.754 0.000 20.708
2.754 6.924 0.000
ATOMIC_POSITIONS crystal
K 0.151 0.197 0.329
K 0.177 0.671 0.803
K 0.197 0.151 0.823
K 0.329 0.823 0.151
K 0.671 0.177 0.849
K 0.803 0.849 0.177
K 0.823 0.329 0.197
K 0.849 0.803 0.671
V 0.000 0.000 0.000
V 0.000 0.000 0.500
V 0.000 0.500 0.000
V 0.500 0.000 0.000
Cu 0.000 0.500 0.500
Cu 0.500 0.000 0.500
Cu 0.500 0.500 0.000
Cu 0.500 0.500 0.500
S 0.217 0.697 0.282
S 0.282 0.304 0.217
S 0.303 0.783 0.696
S 0.304 0.282 0.697
S 0.696 0.718 0.303
S 0.697 0.217 0.304
S 0.718 0.696 0.783
S 0.783 0.303 0.718
```

Values from the calculation:
mass density	2.2	Mg/m³
formation enthalpy at 0 K	-0.40	eV per atom

***

No. 2
Below is a geometry-optimized KVCu2S4 structure, with properties calculated at the PBE level. Values from VASP.

Structure (Quantum ESPRESSO input):
```
&SYSTEM
  ibrav = 0, nat = 16, ntyp = 4
/
ATOMIC_SPECIES
K 39.10 K.upf
V 50.94 V.upf
Cu 63.55 Cu.upf
S 32.06 S.upf
CELL_PARAMETERS angstrom
7.435 0.000 0.000
0.000 9.023 2.702
0.000 -9.023 2.702
ATOMIC_POSITIONS crystal
K 0.250 0.182 0.818
K 0.750 0.818 0.182
V 0.250 0.133 0.351
V 0.750 0.351 0.133
Cu 0.000 0.259 0.259
Cu 0.250 0.634 0.849
Cu 0.500 0.259 0.259
Cu 0.750 0.849 0.634
S 0.008 0.367 0.585
S 0.250 0.000 0.015
S 0.250 0.801 0.214
S 0.492 0.367 0.585
S 0.508 0.585 0.367
S 0.750 0.015 0.000
S 0.750 0.214 0.801
S 0.992 0.585 0.367
```

Values from the calculation:
mass density	3.2	Mg/m³
maximum piezoelectric response	0.7	C/m2
formation enthalpy at 0 K	-1.07	eV per atom

***

No. 3
Below is a geometry-optimized KCu2SbSe3 structure, with properties calculated at the PBE level. Values from VASP.

Structure (Quantum ESPRESSO input):
```
&SYSTEM
  ibrav = 0, nat = 56, ntyp = 4
/
ATOMIC_SPECIES
K 39.10 K.upf
Cu 63.55 Cu.upf
Sb 121.76 Sb.upf
Se 78.96 Se.upf
CELL_PARAMETERS angstrom
6.790 0.000 0.000
0.000 10.998 0.000
-6.466 0.000 18.848
ATOMIC_POSITIONS crystal
K 0.011 0.129 0.211
K 0.011 0.371 0.711
K 0.485 0.633 0.786
K 0.485 0.867 0.286
K 0.515 0.133 0.714
K 0.515 0.367 0.214
K 0.989 0.629 0.289
K 0.989 0.871 0.789
Cu 0.057 0.169 0.555
Cu 0.057 0.331 0.055
Cu 0.168 0.550 0.585
Cu 0.168 0.950 0.085
Cu 0.339 0.037 0.418
Cu 0.339 0.463 0.918
Cu 0.353 0.137 0.870
Cu 0.353 0.363 0.370
Cu 0.647 0.637 0.630
Cu 0.647 0.863 0.130
Cu 0.661 0.537 0.082
Cu 0.661 0.963 0.582
Cu 0.832 0.050 0.915
Cu 0.832 0.450 0.415
Cu 0.943 0.669 0.945
Cu 0.943 0.831 0.445
Sb 0.120 0.644 0.090
Sb 0.120 0.856 0.590
Sb 0.494 0.146 0.018
Sb 0.494 0.354 0.518
Sb 0.506 0.646 0.482
Sb 0.506 0.854 0.982
Sb 0.880 0.144 0.410
Sb 0.880 0.356 0.910
Se 0.000 0.048 0.648
Se 0.000 0.452 0.148
Se 0.000 0.548 0.852
Se 0.000 0.952 0.352
Se 0.021 0.672 0.659
Se 0.021 0.828 0.159
Se 0.100 0.632 0.464
Se 0.100 0.868 0.964
Se 0.388 0.128 0.536
Se 0.388 0.372 0.036
Se 0.472 0.167 0.342
Se 0.472 0.333 0.842
Se 0.491 0.058 0.143
Se 0.491 0.442 0.643
Se 0.509 0.558 0.357
Se 0.509 0.942 0.857
Se 0.528 0.667 0.158
Se 0.528 0.833 0.658
Se 0.612 0.628 0.964
Se 0.612 0.872 0.464
Se 0.900 0.132 0.036
Se 0.900 0.368 0.536
Se 0.979 0.172 0.841
Se 0.979 0.328 0.341
```

Values from the calculation:
mass density	5.0	Mg/m³
formation enthalpy at 0 K	-0.64	eV per atom

***

No. 4
Below is a geometry-optimized KCu2Se2 structure, with properties calculated at the PBE level. Values from VASP.

Structure (Quantum ESPRESSO input):
```
&SYSTEM
  ibrav = 0, nat = 10, ntyp = 3
/
ATOMIC_SPECIES
K 39.10 K.upf
Cu 63.55 Cu.upf
Se 78.96 Se.upf
CELL_PARAMETERS angstrom
3.982 0.000 0.000
0.000 3.982 0.000
0.000 0.000 13.713
ATOMIC_POSITIONS crystal
K 0.000 0.000 0.000
K 0.500 0.500 0.500
Cu 0.000 0.500 0.250
Cu 0.000 0.500 0.750
Cu 0.500 0.000 0.250
Cu 0.500 0.000 0.750
Se 0.000 0.000 0.357
Se 0.000 0.000 0.643
Se 0.500 0.500 0.143
Se 0.500 0.500 0.857
```

Values from the calculation:
mass density	5.0	Mg/m³
formation enthalpy at 0 K	-0.72	eV per atom

***

Among the records above, which one has the lowest mass density? K2VCuS2